TbTlPd: relaxed, PBE.

Lattice parameters (Å, degrees): 7.893 7.893 3.804 90.00 90.00 120.00
Sites, in units of the cell vectors:
Tb: 0.000 0.402 0.000
Tb: 0.402 0.000 0.000
Tb: 0.598 0.598 0.000
Tl: 0.000 0.733 0.500
Tl: 0.267 0.267 0.500
Tl: 0.733 0.000 0.500
Pd: 0.000 0.000 0.000
Pd: 0.333 0.667 0.500
Pd: 0.667 0.333 0.500

Computed properties:
Its space group is P-62m, No. 189. Its formation energy is -0.66 eV per atom.